[1]
USbS: relaxed, PBE.

Properties
Energy of formation from the pure elements   -1071 meV per atom
Crystal system   tetragonal
MP2020-corrected energy   -7.5904 eV per atom
Calculated total energy   -44.54 eV/cell

Lattice parameters (Å, degrees): 4.0804 4.0804 8.3902 90.00 90.00 90.00
Sites, in units of the cell vectors:
U 0.2500 0.2500 0.1920
U 0.7500 0.7500 0.8080
Sb 0.2500 0.7500 0.5000
Sb 0.7500 0.2500 0.5000
S 0.2500 0.2500 0.8665
S 0.7500 0.7500 0.1335


[2]
Zr5Sb3S: relaxed, PBE.

Properties
Energy of formation from the pure elements   -994 meV per atom
Crystal system   hexagonal
MP2020-corrected energy   -7.5785 eV per atom
Calculated total energy   -135.41 eV/cell

Lattice parameters (Å, degrees): 8.4784 8.4784 6.1402 90.00 90.00 120.00
Sites, in units of the cell vectors:
Zr 0.0000 0.2488 0.2500
Zr 0.0000 0.7512 0.7500
Zr 0.2488 0.0000 0.2500
Zr 0.2488 0.2488 0.7500
Zr 0.3333 0.6667 0.0000
Zr 0.3333 0.6667 0.5000
Zr 0.6667 0.3333 0.0000
Zr 0.6667 0.3333 0.5000
Zr 0.7512 0.0000 0.7500
Zr 0.7512 0.7512 0.2500
Sb 0.0000 0.3994 0.7500
Sb 0.0000 0.6006 0.2500
Sb 0.3994 0.0000 0.7500
Sb 0.3994 0.3994 0.2500
Sb 0.6006 0.0000 0.2500
Sb 0.6006 0.6006 0.7500
S 0.0000 0.0000 0.0000
S 0.0000 0.0000 0.5000


[3]
ScS2: relaxed, PBE.

Properties
Energy of formation from the pure elements   -1531 meV per atom
Crystal system   tetragonal
MP2020-corrected energy   -6.3996 eV per atom
Calculated total energy   -36.39 eV/cell

Lattice parameters (Å, degrees): 6.0619 6.0619 3.7714 90.00 90.00 90.00
Sites, in units of the cell vectors:
Sc 0.0000 0.0000 0.0000
Sc 0.5000 0.5000 0.5000
S 0.2032 0.2032 0.5000
S 0.2968 0.7032 0.0000
S 0.7032 0.2968 0.0000
S 0.7968 0.7968 0.5000


[4]
Sc29S42: relaxed, PBE.

Properties
Energy of formation from the pure elements   -1975 meV per atom
Crystal system   monoclinic
MP2020-corrected energy   -7.0086 eV per atom
Calculated total energy   -476.49 eV/cell

Lattice parameters (Å, degrees): 6.3765 6.3765 66.5157 95.02 95.02 33.84
Sites, in units of the cell vectors:
Sc 0.0000 0.0000 0.0000
Sc 0.0003 0.0003 0.3325
Sc 0.0007 0.0007 0.6659
Sc 0.1426 0.1426 0.0944
Sc 0.1434 0.1434 0.7611
Sc 0.1441 0.1441 0.4271
Sc 0.2865 0.2865 0.3569
Sc 0.2862 0.2862 0.8567
Sc 0.2870 0.2870 0.5248
Sc 0.2878 0.2878 0.1898
Sc 0.4261 0.4261 0.4523
Sc 0.4274 0.4274 0.9486
Sc 0.4290 0.4290 0.6183
Sc 0.4307 0.4307 0.1183
Sc 0.4307 0.4307 0.2842
Sc 0.5704 0.5704 0.3808
Sc 0.5711 0.5711 0.2142
Sc 0.5720 0.5720 0.7135
Sc 0.5736 0.5736 0.0462
Sc 0.7147 0.7147 0.1421
Sc 0.7149 0.7149 0.3081
Sc 0.7150 0.7150 0.8087
Sc 0.7167 0.7167 0.4784
Sc 0.7181 0.7181 0.9748
Sc 0.8565 0.8565 0.2381
Sc 0.8570 0.8570 0.9022
Sc 0.8584 0.8584 0.0702
Sc 0.8579 0.8579 0.5703
Sc 0.9990 0.9990 0.1659
S 0.0627 0.0627 0.6301
S 0.0708 0.0708 0.4621
S 0.0722 0.0722 0.1303
S 0.0733 0.0733 0.2966
S 0.0733 0.0733 0.9650
S 0.0812 0.0812 0.7969
S 0.2061 0.2061 0.7255
S 0.2093 0.2093 0.3913
S 0.2136 0.2136 0.2254
S 0.2165 0.2165 0.0588
S 0.2227 0.2227 0.5592
S 0.2234 0.2234 0.8921
S 0.3476 0.3476 0.8206
S 0.3564 0.3564 0.4857
S 0.3576 0.3576 0.1539
S 0.3577 0.3577 0.3205
S 0.3575 0.3575 0.9876
S 0.3670 0.3670 0.6539
S 0.4911 0.4911 0.5829
S 0.4931 0.4931 0.9167
S 0.4958 0.4958 0.2488
S 0.5013 0.5013 0.0824
S 0.5069 0.5069 0.4162
S 0.5096 0.5096 0.7492
S 0.6345 0.6345 0.6779
S 0.6372 0.6372 0.0109
S 0.6430 0.6430 0.1780
S 0.6436 0.6436 0.3444
S 0.6509 0.6509 0.5104
S 0.6530 0.6530 0.8442
S 0.7771 0.7771 0.7731
S 0.7867 0.7867 0.1063
S 0.7866 0.7866 0.4395
S 0.7876 0.7876 0.9413
S 0.7913 0.7913 0.2735
S 0.7964 0.7964 0.6064
S 0.9206 0.9206 0.5349
S 0.9214 0.9214 0.8679
S 0.9276 0.9276 0.3684
S 0.9286 0.9286 0.2019
S 0.9345 0.9345 0.0358
S 0.9380 0.9380 0.7015


[5]
Tb3Sc2S7: relaxed, PBE.

Properties
Energy of formation from the pure elements   -2309 meV per atom
Crystal system   monoclinic
MP2020-corrected energy   -6.9357 eV per atom
Calculated total energy   -79.71 eV/cell

Lattice parameters (Å, degrees): 6.5098 6.5098 11.4206 104.28 104.28 33.57
Sites, in units of the cell vectors:
Tb 0.0000 0.0000 0.0000
Tb 0.3043 0.3043 0.2011
Tb 0.6957 0.6957 0.7989
Sc 0.1115 0.1115 0.4292
Sc 0.8885 0.8885 0.5708
S 0.0314 0.0314 0.7757
S 0.2631 0.2631 0.6379
S 0.3374 0.3374 0.9469
S 0.5000 0.5000 0.5000
S 0.6626 0.6626 0.0531
S 0.7369 0.7369 0.3621
S 0.9686 0.9686 0.2243


[6]
ScTlS2: relaxed, PBE.

Properties
Energy of formation from the pure elements   -1619 meV per atom
Crystal system   hexagonal
MP2020-corrected energy   -5.8611 eV per atom
Calculated total energy   -44.88 eV/cell

Lattice parameters (Å, degrees): 3.8043 3.8043 15.0151 90.00 90.00 120.00
Sites, in units of the cell vectors:
Sc 0.0000 0.0000 0.0000
Sc 0.0000 0.0000 0.5000
Tl 0.3333 0.6667 0.2500
Tl 0.6667 0.3333 0.7500
S 0.3333 0.6667 0.5942
S 0.3333 0.6667 0.9058
S 0.6667 0.3333 0.0942
S 0.6667 0.3333 0.4058


[7]
ScUS2: relaxed, PBE.

Properties
Energy of formation from the pure elements   -1831 meV per atom
E above lowest polymorph   3.5 kJ/mol of formula units
Crystal system   tetragonal
MP2020-corrected energy   -8.3052 eV per atom
Calculated total energy   -128.86 eV/cell

Lattice parameters (Å, degrees): 5.3457 5.3457 10.6605 90.00 90.00 90.00
Sites, in units of the cell vectors:
Sc 0.0000 0.2500 0.3750
Sc 0.0000 0.7500 0.6250
Sc 0.5000 0.2500 0.1250
Sc 0.5000 0.7500 0.8750
U 0.0000 0.2500 0.8750
U 0.0000 0.7500 0.1250
U 0.5000 0.2500 0.6250
U 0.5000 0.7500 0.3750
S 0.0000 0.2500 0.1305
S 0.0000 0.2500 0.6195
S 0.0000 0.7500 0.3805
S 0.0000 0.7500 0.8695
S 0.5000 0.2500 0.3695
S 0.5000 0.2500 0.8805
S 0.5000 0.7500 0.1195
S 0.5000 0.7500 0.6305


[8]
ScUS2: relaxed, PBE.

Properties
Energy of formation from the pure elements   -1840 meV per atom
E above lowest polymorph   0.0 kJ/mol of formula units
Crystal system   tetragonal
MP2020-corrected energy   -8.3144 eV per atom
Calculated total energy   -32.25 eV/cell

Lattice parameters (Å, degrees): 3.7814 3.7814 5.3143 90.00 90.00 90.00
Sites, in units of the cell vectors:
Sc 0.0000 0.0000 0.0000
U 0.5000 0.5000 0.5000
S 0.0000 0.0000 0.5000
S 0.5000 0.5000 0.0000


[9]
Sc2ZnS4: relaxed, PBE.

Properties
Energy of formation from the pure elements   -1876 meV per atom
Crystal system   cubic
MP2020-corrected energy   -6.2292 eV per atom
Calculated total energy   -83.18 eV/cell

Lattice parameters (Å, degrees): 7.4601 7.4601 7.4601 60.00 60.00 60.00
Sites, in units of the cell vectors:
Sc 0.0000 0.0000 0.0000
Sc 0.0000 0.0000 0.5000
Sc 0.0000 0.5000 0.0000
Sc 0.5000 0.0000 0.0000
Zn 0.3750 0.3750 0.3750
Zn 0.6250 0.6250 0.6250
S 0.2345 0.7552 0.7552
S 0.2448 0.2448 0.2448
S 0.2448 0.2448 0.7655
S 0.2448 0.7655 0.2448
S 0.7552 0.2345 0.7552
S 0.7552 0.7552 0.2345
S 0.7552 0.7552 0.7552
S 0.7655 0.2448 0.2448


[10]
SeS: relaxed, PBE.

Properties
Energy of formation from the pure elements   148 meV per atom
Crystal system   cubic
MP2020-corrected energy   -3.6679 eV per atom
Calculated total energy   -27.33 eV/cell

Lattice parameters (Å, degrees): 5.4195 5.4195 5.4195 90.00 90.00 90.00
Sites, in units of the cell vectors:
Se 0.0000 0.0000 0.0000
Se 0.0000 0.5000 0.5000
Se 0.5000 0.0000 0.5000
Se 0.5000 0.5000 0.0000
S 0.0000 0.0000 0.5000
S 0.0000 0.5000 0.0000
S 0.5000 0.0000 0.0000
S 0.5000 0.5000 0.5000


[11]
Sn2SeS: relaxed, PBE.

Properties
Energy of formation from the pure elements   -552 meV per atom
Crystal system   orthorhombic
MP2020-corrected energy   -4.4650 eV per atom
Calculated total energy   -34.71 eV/cell

Lattice parameters (Å, degrees): 4.1242 4.4856 11.6126 90.00 90.00 90.00
Sites, in units of the cell vectors:
Sn 0.0000 0.1213 0.0000
Sn 0.0000 0.8787 0.5000
Sn 0.5000 0.3525 0.7586
Sn 0.5000 0.6475 0.2586
Se 0.0000 0.2258 0.2376
Se 0.0000 0.7742 0.7376
S 0.5000 0.2626 0.5325
S 0.5000 0.7374 0.0325


[12]
Sr4Se3S: relaxed, PBE.

Properties
Energy of formation from the pure elements   -2139 meV per atom
Crystal system   trigonal
MP2020-corrected energy   -4.8117 eV per atom
Calculated total energy   -37.99 eV/cell

Lattice parameters (Å, degrees): 14.6518 14.6518 14.6518 17.33 17.33 17.33
Sites, in units of the cell vectors:
Sr 0.1243 0.1243 0.1243
Sr 0.3729 0.3729 0.3729
Sr 0.6271 0.6271 0.6271
Sr 0.8757 0.8757 0.8757
Se 0.2515 0.2515 0.2515
Se 0.5000 0.5000 0.5000
Se 0.7485 0.7485 0.7485
S 0.0000 0.0000 0.0000


> What is the formula in the eighth record?

ScUS2


> Which formula does entry 2 have?

Zr5Sb3S